# Li2NbP2O8

A relaxed Li2NbP2O8 crystal (PBE-GGA, the Materials Project).

The structure in CIF format:
```
data_Li2NbP2O8
_cell_length_a 5.1474
_cell_length_b 7.7329
_cell_length_c 8.1693
_cell_angle_alpha 90.00
_cell_angle_beta 90.00
_cell_angle_gamma 93.86
_space_group_name_H-M_alt 'P 1'
_space_group_IT_number 1
loop_
_space_group_symop_operation_xyz
'x,y,z'
loop_
_atom_site_label
_atom_site_type_symbol
_atom_site_fract_x
_atom_site_fract_y
_atom_site_fract_z
Li1 Li 0.5986 0.0966 0.3713
Li2 Li 0.9014 0.4034 0.8713
Li3 Li 0.0986 0.5966 0.1287
Li4 Li 0.4014 0.9034 0.6287
Nb1 Nb 0.5000 0.0000 0.0000
Nb2 Nb 0.0000 0.5000 0.5000
P1 P 0.5367 0.7035 0.3093
P2 P 0.4633 0.2965 0.6907
P3 P 0.9633 0.7965 0.8093
P4 P 0.0367 0.2035 0.1907
O1 O 0.5372 0.2414 0.8680
O2 O 0.9628 0.2586 0.3680
O3 O 0.0372 0.7415 0.6320
O4 O 0.9505 0.6462 0.9264
O5 O 0.4628 0.7585 0.1320
O6 O 0.3241 0.5566 0.3546
O7 O 0.6759 0.4434 0.6454
O8 O 0.1962 0.3867 0.6861
O9 O 0.5495 0.8538 0.4264
O10 O 0.0495 0.3538 0.0736
O11 O 0.4505 0.1462 0.5736
O12 O 0.3038 0.1133 0.1861
O13 O 0.6962 0.8867 0.8139
O14 O 0.8241 0.0566 0.1454
O15 O 0.8038 0.6133 0.3139
O16 O 0.1759 0.9434 0.8546
```

Calculated values
**Calculated formation energy**: -35.70 eV/f.u.
**V**: 12.5 A^3/atom
**Crystal system**: monoclinic
**E above lowest polymorph**: 0 meV/atom

***

# LiNbP2O7

A relaxed LiNbP2O7 crystal (PBE-GGA, the Materials Project).

The structure in CIF format:
```
data_LiNbP2O7
_cell_length_a 8.7100
_cell_length_b 4.9860
_cell_length_c 7.1532
_cell_angle_alpha 71.41
_cell_angle_beta 90.00
_cell_angle_gamma 90.00
_space_group_name_H-M_alt 'P 1'
_space_group_IT_number 1
loop_
_space_group_symop_operation_xyz
'x,y,z'
loop_
_atom_site_label
_atom_site_type_symbol
_atom_site_fract_x
_atom_site_fract_y
_atom_site_fract_z
Li1 Li 0.2012 0.8057 0.6761
Li2 Li 0.7012 0.1943 0.3239
Nb1 Nb 0.5563 0.7918 0.7232
Nb2 Nb 0.0563 0.2082 0.2768
P1 P 0.8762 0.5997 0.5299
P2 P 0.2681 0.7824 0.0828
P3 P 0.7681 0.2176 0.9172
P4 P 0.3762 0.4003 0.4701
O1 O 0.7331 0.9623 0.8512
O2 O 0.3508 0.8583 0.8855
O3 O 0.0194 0.7909 0.4986
O4 O 0.7266 0.7686 0.5008
O5 O 0.3771 0.6024 0.5942
O6 O 0.6239 0.3945 0.9211
O7 O 0.8907 0.4104 0.7587
O8 O 0.3907 0.5896 0.2413
O9 O 0.1239 0.6055 0.0789
O10 O 0.8771 0.3976 0.4058
O11 O 0.2266 0.2314 0.4992
O12 O 0.5194 0.2091 0.5014
O13 O 0.8508 0.1417 0.1145
O14 O 0.2331 0.0377 0.1488
```

Calculated values
**Calculated formation energy**: -28.88 eV/f.u.
**V**: 13.4 A^3/atom
**Crystal system**: monoclinic

***

# LiNbPO5

A relaxed LiNbPO5 crystal (PBE-GGA, the Materials Project).

The structure in CIF format:
```
data_LiNbPO5
_cell_length_a 7.1131
_cell_length_b 7.4322
_cell_length_c 8.1830
_cell_angle_alpha 89.43
_cell_angle_beta 92.54
_cell_angle_gamma 115.74
_space_group_name_H-M_alt 'P 1'
_space_group_IT_number 1
loop_
_space_group_symop_operation_xyz
'x,y,z'
loop_
_atom_site_label
_atom_site_type_symbol
_atom_site_fract_x
_atom_site_fract_y
_atom_site_fract_z
Li1 Li 0.2970 0.8275 0.4253
Li2 Li 0.2181 0.3090 0.0761
Li3 Li 0.7819 0.6910 0.9239
Li4 Li 0.7030 0.1725 0.5747
Nb1 Nb 0.2440 0.5100 0.7373
Nb2 Nb 0.2461 0.0137 0.7660
Nb3 Nb 0.7539 0.9863 0.2340
Nb4 Nb 0.7560 0.4900 0.2627
P1 P 0.2311 0.7459 0.0933
P2 P 0.2627 0.2386 0.4085
P3 P 0.7373 0.7614 0.5915
P4 P 0.7689 0.2541 0.9067
O1 O 0.1241 0.8431 0.9755
O2 O 0.0867 0.6436 0.2372
O3 O 0.2405 0.7530 0.6666
O4 O 0.2740 0.5911 0.9951
O5 O 0.1946 0.3688 0.5154
O6 O 0.4313 0.9057 0.1779
O7 O 0.0754 0.0936 0.3030
O8 O 0.2665 0.2624 0.8422
O9 O 0.6450 0.8782 0.4795
O10 O 0.4247 0.3698 0.2842
O11 O 0.5753 0.6302 0.7158
O12 O 0.3550 0.1218 0.5205
O13 O 0.7335 0.7376 0.1578
O14 O 0.9246 0.9064 0.6970
O15 O 0.5687 0.0943 0.8221
O16 O 0.8054 0.6312 0.4846
O17 O 0.7260 0.4089 0.0049
O18 O 0.7595 0.2470 0.3334
O19 O 0.9133 0.3564 0.7628
O20 O 0.8759 0.1569 0.0245
```

Calculated values
**Calculated formation energy**: -22.07 eV/f.u.
**V**: 12.2 A^3/atom
**Crystal system**: triclinic
**E above lowest polymorph**: 3 meV/atom

***

# Li2NbP2O8

A relaxed Li2NbP2O8 crystal (PBE-GGA, the Materials Project).

The structure in CIF format:
```
data_Li2NbP2O8
_cell_length_a 12.6122
_cell_length_b 6.4415
_cell_length_c 7.7788
_cell_angle_alpha 81.13
_cell_angle_beta 90.00
_cell_angle_gamma 90.00
_space_group_name_H-M_alt 'P 1'
_space_group_IT_number 1
loop_
_space_group_symop_operation_xyz
'x,y,z'
loop_
_atom_site_label
_atom_site_type_symbol
_atom_site_fract_x
_atom_site_fract_y
_atom_site_fract_z
Li1 Li 0.2284 0.3532 0.0712
Li2 Li 0.2716 0.8532 0.0712
Li3 Li 0.6224 0.0603 0.5530
Li4 Li 0.1224 0.4397 0.4470
Li5 Li 0.8776 0.5603 0.5530
Li6 Li 0.3776 0.9397 0.4470
Li7 Li 0.7284 0.1468 0.9288
Li8 Li 0.7716 0.6468 0.9288
Nb1 Nb 0.9165 0.2502 0.2220
Nb2 Nb 0.5835 0.7502 0.2220
Nb3 Nb 0.4165 0.2498 0.7780
Nb4 Nb 0.0835 0.7498 0.7780
P1 P 0.5256 0.2584 0.1817
P2 P 0.9744 0.7584 0.1817
P3 P 0.3542 0.4596 0.3567
P4 P 0.1458 0.9596 0.3567
P5 P 0.8542 0.0404 0.6433
P6 P 0.6458 0.5404 0.6433
P7 P 0.0256 0.2416 0.8183
P8 P 0.4744 0.7416 0.8183
O1 O 0.0349 0.2727 0.0086
O2 O 0.4651 0.7727 0.0086
O3 O 0.8072 0.3365 0.0818
O4 O 0.6928 0.8365 0.0818
O5 O 0.4068 0.3392 0.2061
O6 O 0.5376 0.0486 0.3088
O7 O 0.6014 0.4221 0.2342
O8 O 0.2571 0.0028 0.2844
O9 O 0.0932 0.8392 0.2061
O10 O 0.9624 0.5486 0.3088
O11 O 0.8986 0.9221 0.2342
O12 O 0.2429 0.5028 0.2844
O13 O 0.0783 0.1544 0.3670
O14 O 0.4217 0.6544 0.3670
O15 O 0.8538 0.2059 0.4772
O16 O 0.6462 0.7059 0.4772
O17 O 0.3538 0.2941 0.5228
O18 O 0.1462 0.7941 0.5228
O19 O 0.5783 0.3456 0.6330
O20 O 0.9217 0.8456 0.6330
O21 O 0.7571 0.4972 0.7156
O22 O 0.1014 0.0779 0.7658
O23 O 0.0376 0.4514 0.6912
O24 O 0.9068 0.1608 0.7939
O25 O 0.7429 0.9972 0.7156
O26 O 0.3986 0.5779 0.7658
O27 O 0.4624 0.9514 0.6912
O28 O 0.5932 0.6608 0.7939
O29 O 0.3072 0.1635 0.9182
O30 O 0.1928 0.6635 0.9182
O31 O 0.5349 0.2273 0.9914
O32 O 0.9651 0.7273 0.9914
```

Calculated values
**Calculated formation energy**: -35.10 eV/f.u.
**V**: 12.0 A^3/atom
**Crystal system**: monoclinic
**E above lowest polymorph**: 46 meV/atom

***

# Li9Nb3P8O29

A relaxed Li9Nb3P8O29 crystal (PBE-GGA, the Materials Project).

The structure in CIF format:
```
data_Li9Nb3P8O29
_cell_length_a 10.0748
_cell_length_b 10.0748
_cell_length_c 13.9801
_cell_angle_alpha 90.00
_cell_angle_beta 90.00
_cell_angle_gamma 120.00
_space_group_name_H-M_alt 'P 1'
_space_group_IT_number 1
loop_
_space_group_symop_operation_xyz
'x,y,z'
loop_
_atom_site_label
_atom_site_type_symbol
_atom_site_fract_x
_atom_site_fract_y
_atom_site_fract_z
Li1 Li 0.0000 0.0000 0.0000
Li2 Li 0.0000 0.0000 0.5000
Li3 Li 0.3298 0.2301 0.0641
Li4 Li 0.3298 0.0998 0.5641
Li5 Li 0.7699 0.6702 0.5641
Li6 Li 0.6667 0.3333 0.8823
Li7 Li 0.6667 0.3333 0.3823
Li8 Li 0.9002 0.6702 0.0641
Li9 Li 0.7699 0.0998 0.0641
Li10 Li 0.0998 0.7699 0.4359
Li11 Li 0.9002 0.2301 0.5641
Li12 Li 0.2301 0.9002 0.9359
Li13 Li 0.0998 0.3298 0.9359
Li14 Li 0.3333 0.6667 0.1177
Li15 Li 0.3333 0.6667 0.6177
Li16 Li 0.2301 0.3298 0.4359
Li17 Li 0.6702 0.9002 0.4359
Li18 Li 0.6702 0.7699 0.9359
Nb1 Nb 0.4340 0.4340 0.2500
Nb2 Nb 0.5660 0.5660 0.7500
Nb3 Nb 0.4340 0.0000 0.7500
Nb4 Nb 0.5660 0.0000 0.2500
Nb5 Nb 0.0000 0.5660 0.2500
Nb6 Nb 0.0000 0.4340 0.7500
P1 P 0.3123 0.2253 0.8461
P2 P 0.3123 0.0870 0.3461
P3 P 0.7747 0.6877 0.3461
P4 P 0.6667 0.3333 0.6188
P5 P 0.6667 0.3333 0.1188
P6 P 0.9130 0.6877 0.8461
P7 P 0.0870 0.7747 0.6539
P8 P 0.7747 0.0870 0.8461
P9 P 0.2253 0.9130 0.1539
P10 P 0.9130 0.2253 0.3461
P11 P 0.0870 0.3123 0.1539
P12 P 0.3333 0.6667 0.3812
P13 P 0.3333 0.6667 0.8812
P14 P 0.2253 0.3123 0.6539
P15 P 0.6877 0.9130 0.6539
P16 P 0.6877 0.7747 0.1539
O1 O 0.2194 0.2194 0.7500
O2 O 0.2303 0.2218 0.5678
O3 O 0.3174 0.2418 0.3480
O4 O 0.2194 0.0000 0.2500
O5 O 0.2303 0.0085 0.0678
O6 O 0.3174 0.0756 0.8480
O7 O 0.4768 0.3623 0.8386
O8 O 0.5143 0.3204 0.1576
O9 O 0.6377 0.5232 0.3386
O10 O 0.7782 0.7697 0.0678
O11 O 0.7806 0.7806 0.2500
O12 O 0.7582 0.6826 0.8480
O13 O 0.5143 0.1940 0.6576
O14 O 0.4768 0.1146 0.3386
O15 O 0.6796 0.4857 0.6576
O16 O 0.6667 0.3333 0.5111
O17 O 0.6667 0.3333 0.0111
O18 O 0.8060 0.4857 0.1576
O19 O 0.6377 0.1146 0.8386
O20 O 0.6796 0.1940 0.1576
O21 O 0.9244 0.6826 0.3480
O22 O 0.0000 0.7806 0.7500
O23 O 0.9915 0.7697 0.5678
O24 O 0.0085 0.7782 0.9322
O25 O 0.8854 0.5232 0.8386
O26 O 0.8060 0.3204 0.6576
O27 O 0.0756 0.7582 0.1520
O28 O 0.8854 0.3623 0.3386
O29 O 0.7582 0.0756 0.3480
O30 O 0.2218 0.9915 0.4322
O31 O 0.7782 0.0085 0.5678
O32 O 0.7806 0.0000 0.7500
O33 O 0.2418 0.9244 0.6520
O34 O 0.1146 0.6377 0.6614
O35 O 0.9244 0.2418 0.8480
O36 O 0.1940 0.6796 0.3424
O37 O 0.1146 0.4768 0.1614
O38 O 0.9915 0.2218 0.0678
O39 O 0.0085 0.2303 0.4322
O40 O 0.0000 0.2194 0.2500
O41 O 0.0756 0.3174 0.6520
O42 O 0.3204 0.8060 0.8424
O43 O 0.3623 0.8854 0.1614
O44 O 0.1940 0.5143 0.8424
O45 O 0.3333 0.6667 0.4889
O46 O 0.3333 0.6667 0.9889
O47 O 0.3204 0.5143 0.3424
O48 O 0.5232 0.8854 0.6614
O49 O 0.4857 0.8060 0.3424
O50 O 0.2418 0.3174 0.1520
O51 O 0.2218 0.2303 0.9322
O52 O 0.3623 0.4768 0.6614
O53 O 0.4857 0.6796 0.8424
O54 O 0.5232 0.6377 0.1614
O55 O 0.6826 0.9244 0.1520
O56 O 0.7697 0.9915 0.9322
O57 O 0.6826 0.7582 0.6520
O58 O 0.7697 0.7782 0.4322
```

Calculated values
**Calculated formation energy**: -130.00 eV/f.u.
**V**: 12.5 A^3/atom
**Crystal system**: trigonal

***

Number 1: total DFT energy (no corrections) -7.2718 eV/atom. Number 2: total DFT energy (no corrections) -7.4133 eV/atom. Number 3: total DFT energy (no corrections) -7.5999 eV/atom. Number 4: total DFT energy (no corrections) -7.2254 eV/atom. Number 5: total DFT energy (no corrections) -7.0278 eV/atom.